# 1
First-principles (PBE-GGA) data for a relaxed structure of Sr5Al11TlSi13O48, as listed in the Materials Project database.

Properties
ΔE to the lowest computed polymorph ... 0.62 eV per formula unit

Cell lengths 12.323, 12.419, 12.503 Å; angles 90.58, 90.13, 90.64 degrees
Fractional positions:
1 Sr 0.000 0.000 0.000
2 Sr 0.003 0.414 0.990
3 Sr 0.012 0.975 0.540
4 Sr 0.590 0.408 0.998
5 Sr 0.647 0.066 0.893
6 Al 0.158 0.208 0.937
7 Al 0.164 0.021 0.761
8 Al 0.419 0.214 0.935
9 Al 0.604 0.193 0.142
10 Al 0.605 0.831 0.764
11 Al 0.787 0.020 0.143
12 Al 0.789 0.823 0.573
13 Al 0.791 0.571 0.936
14 Al 0.795 0.832 0.940
15 Al 0.796 0.396 0.156
16 Al 0.981 0.219 0.153
17 Tl 0.551 0.887 0.079
18 Si 0.165 0.395 0.752
19 Si 0.166 0.208 0.577
20 Si 0.417 0.206 0.575
21 Si 0.419 0.395 0.751
22 Si 0.420 0.026 0.755
23 Si 0.605 0.576 0.757
24 Si 0.608 0.197 0.396
25 Si 0.788 0.388 0.398
26 Si 0.790 0.024 0.396
27 Si 0.790 0.576 0.578
28 Si 0.978 0.212 0.392
29 Si 0.979 0.576 0.755
30 Si 0.981 0.825 0.753
31 O 0.023 0.701 0.769
32 O 0.039 0.204 0.280
33 O 0.064 0.221 0.039
34 O 0.073 0.202 0.484
35 O 0.083 0.907 0.733
36 O 0.086 0.499 0.746
37 O 0.114 0.088 0.873
38 O 0.131 0.329 0.860
39 O 0.137 0.099 0.644
40 O 0.148 0.318 0.646
41 O 0.289 0.206 0.979
42 O 0.290 0.205 0.530
43 O 0.292 0.435 0.756
44 O 0.298 0.987 0.769
45 O 0.434 0.314 0.648
46 O 0.436 0.100 0.647
47 O 0.452 0.334 0.862
48 O 0.462 0.103 0.856
49 O 0.498 0.498 0.739
50 O 0.503 0.205 0.477
51 O 0.505 0.929 0.757
52 O 0.521 0.223 0.032
53 O 0.564 0.180 0.275
54 O 0.564 0.697 0.774
55 O 0.658 0.066 0.095
56 O 0.667 0.876 0.890
57 O 0.669 0.532 0.864
58 O 0.683 0.306 0.414
59 O 0.684 0.094 0.432
60 O 0.685 0.559 0.655
61 O 0.692 0.303 0.128
62 O 0.695 0.859 0.664
63 O 0.777 0.981 0.275
64 O 0.780 0.449 0.285
65 O 0.787 0.692 0.520
66 O 0.788 0.476 0.039
67 O 0.791 0.475 0.495
68 O 0.793 0.701 0.978
69 O 0.819 0.927 0.478
70 O 0.820 0.925 0.044
71 O 0.895 0.109 0.125
72 O 0.900 0.316 0.409
73 O 0.902 0.564 0.650
74 O 0.904 0.099 0.414
75 O 0.913 0.866 0.859
76 O 0.914 0.539 0.864
77 O 0.918 0.837 0.639
78 O 0.926 0.346 0.146

# 2
First-principles (PBE-GGA) data for a relaxed structure of Sr5Al11TlSi13O48, as listed in the Materials Project database.

Properties
ΔE to the lowest computed polymorph ... 0.00 eV per formula unit

Cell lengths 12.369, 12.379, 12.511 Å; angles 90.33, 91.01, 90.16 degrees
Fractional positions:
1 Sr 0.000 0.000 0.000
2 Sr 0.008 0.413 0.988
3 Sr 0.358 0.383 0.078
4 Sr 0.409 0.997 0.996
5 Sr 0.442 0.996 0.448
6 Al 0.019 0.208 0.832
7 Al 0.193 0.587 0.054
8 Al 0.198 0.024 0.841
9 Al 0.205 0.841 0.053
10 Al 0.225 0.396 0.848
11 Al 0.396 0.211 0.848
12 Al 0.397 0.833 0.235
13 Al 0.581 0.194 0.053
14 Al 0.582 0.394 0.224
15 Al 0.596 0.216 0.419
16 Al 0.847 0.217 0.056
17 Tl 0.622 0.360 0.893
18 Si 0.019 0.586 0.238
19 Si 0.022 0.839 0.238
20 Si 0.030 0.219 0.590
21 Si 0.206 0.030 0.596
22 Si 0.209 0.837 0.415
23 Si 0.213 0.586 0.416
24 Si 0.219 0.398 0.594
25 Si 0.387 0.582 0.240
26 Si 0.392 0.214 0.590
27 Si 0.591 0.018 0.238
28 Si 0.837 0.403 0.231
29 Si 0.841 0.216 0.411
30 Si 0.842 0.028 0.235
31 O 0.067 0.077 0.846
32 O 0.067 0.556 0.120
33 O 0.084 0.870 0.128
34 O 0.101 0.105 0.580
35 O 0.103 0.861 0.340
36 O 0.110 0.567 0.332
37 O 0.112 0.312 0.862
38 O 0.113 0.321 0.576
39 O 0.196 0.939 0.953
40 O 0.198 0.480 0.961
41 O 0.199 0.714 0.004
42 O 0.206 0.713 0.459
43 O 0.207 0.503 0.515
44 O 0.211 0.928 0.510
45 O 0.222 0.977 0.712
46 O 0.233 0.440 0.716
47 O 0.294 0.554 0.148
48 O 0.306 0.108 0.879
49 O 0.315 0.103 0.563
50 O 0.322 0.861 0.354
51 O 0.324 0.323 0.558
52 O 0.326 0.879 0.123
53 O 0.327 0.568 0.356
54 O 0.350 0.337 0.891
55 O 0.430 0.214 0.713
56 O 0.437 0.701 0.229
57 O 0.476 0.490 0.216
58 O 0.492 0.187 0.512
59 O 0.506 0.173 0.934
60 O 0.512 0.916 0.261
61 O 0.539 0.319 0.105
62 O 0.546 0.078 0.129
63 O 0.564 0.319 0.335
64 O 0.580 0.089 0.347
65 O 0.714 0.213 0.016
66 O 0.715 0.441 0.207
67 O 0.718 0.985 0.218
68 O 0.727 0.214 0.472
69 O 0.850 0.320 0.331
70 O 0.855 0.104 0.340
71 O 0.881 0.095 0.128
72 O 0.886 0.339 0.125
73 O 0.915 0.509 0.255
74 O 0.917 0.920 0.243
75 O 0.935 0.219 0.947
76 O 0.945 0.220 0.491
77 O 0.968 0.225 0.702
78 O 0.982 0.713 0.239

# 3
First-principles (PBE-GGA) data for a relaxed structure of Ti3Al2Si3O12, as listed in the Materials Project database.

Cell lengths 10.106, 10.106, 10.106 Å; angles 109.47, 109.47, 109.47 degrees
Fractional positions:
1 Ti 0.125 0.250 0.375
2 Ti 0.125 0.375 0.750
3 Ti 0.250 0.375 0.125
4 Ti 0.250 0.875 0.625
5 Ti 0.375 0.125 0.250
6 Ti 0.375 0.750 0.125
7 Ti 0.625 0.250 0.875
8 Ti 0.625 0.875 0.750
9 Ti 0.750 0.125 0.375
10 Ti 0.750 0.625 0.875
11 Ti 0.875 0.625 0.250
12 Ti 0.875 0.750 0.625
13 Al 0.000 0.000 0.000
14 Al 0.000 0.000 0.500
15 Al 0.000 0.500 0.000
16 Al 0.000 0.500 0.500
17 Al 0.500 0.000 0.000
18 Al 0.500 0.000 0.500
19 Al 0.500 0.500 0.000
20 Al 0.500 0.500 0.500
21 Si 0.125 0.750 0.875
22 Si 0.125 0.875 0.250
23 Si 0.250 0.125 0.875
24 Si 0.250 0.625 0.375
25 Si 0.375 0.250 0.625
26 Si 0.375 0.625 0.750
27 Si 0.625 0.375 0.250
28 Si 0.625 0.750 0.375
29 Si 0.750 0.375 0.625
30 Si 0.750 0.875 0.125
31 Si 0.875 0.125 0.750
32 Si 0.875 0.250 0.125
33 O 0.016 0.203 0.117
34 O 0.016 0.313 0.899
35 O 0.087 0.703 0.687
36 O 0.087 0.883 0.399
37 O 0.101 0.617 0.413
38 O 0.101 0.984 0.687
39 O 0.117 0.016 0.203
40 O 0.117 0.601 0.913
41 O 0.187 0.203 0.587
42 O 0.187 0.484 0.601
43 O 0.203 0.117 0.016
44 O 0.203 0.587 0.187
45 O 0.297 0.313 0.913
46 O 0.297 0.484 0.383
47 O 0.313 0.899 0.016
48 O 0.313 0.913 0.297
49 O 0.383 0.297 0.484
50 O 0.383 0.587 0.899
51 O 0.399 0.087 0.883
52 O 0.399 0.813 0.516
53 O 0.413 0.101 0.617
54 O 0.413 0.813 0.797
55 O 0.484 0.383 0.297
56 O 0.484 0.601 0.187
57 O 0.516 0.399 0.813
58 O 0.516 0.617 0.703
59 O 0.587 0.187 0.203
60 O 0.587 0.899 0.383
61 O 0.601 0.187 0.484
62 O 0.601 0.913 0.117
63 O 0.617 0.413 0.101
64 O 0.617 0.703 0.516
65 O 0.687 0.087 0.703
66 O 0.687 0.101 0.984
67 O 0.703 0.516 0.617
68 O 0.703 0.687 0.087
69 O 0.797 0.413 0.813
70 O 0.797 0.883 0.984
71 O 0.813 0.516 0.399
72 O 0.813 0.797 0.413
73 O 0.883 0.399 0.087
74 O 0.883 0.984 0.797
75 O 0.899 0.016 0.313
76 O 0.899 0.383 0.587
77 O 0.913 0.117 0.601
78 O 0.913 0.297 0.313
79 O 0.984 0.687 0.101
80 O 0.984 0.797 0.883

Number 1: formation energy -3.241 eV per atom, electronic total energy -579.83 eV per cell. Number 2: formation energy -3.248 eV per atom, electronic total energy -580.45 eV per cell. Number 3: formation energy -3.000 eV per atom, electronic total energy -634.31 eV per cell.